No. 1
! K2B2S3O12 PBE relaxed; values from VASP
! DFT formation energy   -1879 meV per atom
&SYSTEM
  ibrav = 0, nat = 76, ntyp = 4
/
ATOMIC_SPECIES
K 39.10 K.upf
B 10.81 B.upf
S 32.06 S.upf
O 16.00 O.upf
ATOMIC_POSITIONS angstrom
K 8.723 8.723 8.723
K 7.278 1.944 3.389
K 1.944 3.389 7.278
K 3.389 7.278 1.944
K 0.523 0.523 0.523
K 4.811 10.144 5.857
K 10.144 5.857 4.811
K 5.857 4.811 10.144
B 5.519 5.519 5.519
B 10.482 5.148 0.185
B 5.148 0.185 10.482
B 0.185 10.482 5.148
B 2.958 2.958 2.958
B 2.375 7.709 8.292
B 7.709 8.292 2.375
B 8.292 2.375 7.709
S 0.479 2.229 3.963
S 4.854 8.438 9.297
S 10.188 7.562 1.370
S 3.963 0.479 2.229
S 5.813 3.105 6.704
S 9.297 4.854 8.438
S 1.370 10.188 7.562
S 6.704 5.813 3.105
S 2.229 3.963 0.479
S 7.562 1.370 10.188
S 3.105 6.704 5.813
S 8.438 9.297 4.854
O 2.395 5.563 5.229
O 2.938 5.104 10.562
O 8.272 0.229 0.105
O 5.229 2.395 5.563
O 7.729 10.438 5.438
O 10.562 2.938 5.104
O 0.105 8.272 0.229
O 5.438 7.729 10.438
O 5.563 5.229 2.395
O 0.229 0.105 8.272
O 10.438 5.438 7.729
O 5.104 10.562 2.938
O 10.477 0.568 4.050
O 5.523 10.099 9.384
O 0.190 5.901 1.283
O 4.050 10.477 0.568
O 5.144 4.766 6.617
O 9.384 5.523 10.099
O 1.283 0.190 5.901
O 6.617 5.144 4.766
O 0.568 4.050 10.477
O 5.901 1.283 0.190
O 4.766 6.617 5.144
O 10.099 9.384 5.523
O 2.177 2.659 4.073
O 3.157 8.008 9.407
O 8.490 7.992 1.260
O 4.073 2.177 2.659
O 7.510 2.675 6.594
O 9.407 3.157 8.008
O 1.260 8.490 7.992
O 6.594 7.510 2.675
O 2.659 4.073 2.177
O 7.992 1.260 8.490
O 2.675 6.594 7.510
O 8.008 9.407 3.157
O 0.011 7.930 2.694
O 5.323 2.737 8.028
O 10.656 2.596 2.639
O 2.694 0.011 7.930
O 5.344 8.071 7.973
O 8.028 5.323 2.737
O 2.639 10.656 2.596
O 7.973 5.344 8.071
O 7.930 2.694 0.011
O 2.596 2.639 10.656
O 8.071 7.973 5.344
O 2.737 8.028 5.323
CELL_PARAMETERS angstrom
10.667 0.000 0.000
0.000 10.667 0.000
0.000 0.000 10.667

---

No. 2
! K3BS3O12 PBE relaxed; values from VASP
! DFT formation energy   -2216 meV per atom
&SYSTEM
  ibrav = 0, nat = 76, ntyp = 4
/
ATOMIC_SPECIES
K 39.10 K.upf
B 10.81 B.upf
S 32.06 S.upf
O 16.00 O.upf
ATOMIC_POSITIONS angstrom
K 1.025 9.005 4.088
K 1.025 5.601 7.318
K 2.582 9.005 -4.088
K 2.582 5.601 -7.318
K 2.582 -1.702 7.318
K 2.582 1.702 4.088
K 1.025 -1.702 15.493
K 1.025 1.702 18.723
K 5.410 0.867 0.000
K 1.803 6.436 0.000
K -1.803 6.436 11.405
K 1.803 0.867 11.405
B 3.607 3.651 -1.878
B 0.000 3.651 1.878
B 0.000 3.651 13.283
B 3.607 3.651 9.528
S 1.068 9.080 7.831
S 1.068 5.525 3.574
S 2.539 9.080 -7.831
S 2.539 5.525 -3.574
S 2.539 -1.778 3.574
S 2.539 1.778 7.831
S 1.068 -1.778 19.236
S 1.068 1.778 14.980
S 1.803 -2.712 11.405
S 1.803 2.712 0.000
S 1.803 10.015 0.000
S 1.803 4.591 11.405
O 3.685 4.886 -2.628
O 0.078 2.417 2.628
O -0.078 4.886 2.628
O 3.529 2.417 -2.628
O -0.078 2.417 14.034
O 3.529 4.886 8.777
O 3.685 2.417 8.777
O 0.078 4.886 14.034
O 0.281 8.459 6.763
O 0.281 6.146 4.642
O -0.281 1.156 4.642
O 3.326 6.146 -4.642
O 3.326 -1.156 4.642
O 3.326 1.156 6.763
O 3.887 6.146 6.763
O 0.281 1.156 16.048
O 0.728 9.238 0.590
O 0.728 5.367 10.815
O -0.728 1.935 10.815
O 2.879 5.367 11.996
O 2.879 -1.935 10.815
O 2.879 1.935 0.590
O 4.335 5.367 0.590
O 0.728 1.935 -0.590
O 4.854 3.569 -1.023
O 1.247 3.733 1.023
O 2.360 -3.733 12.428
O 2.360 3.733 -1.023
O -1.247 3.733 12.428
O 2.360 3.569 10.382
O 1.247 11.036 -1.023
O 1.247 3.569 12.428
O 1.755 8.090 8.674
O 1.755 6.515 2.731
O 5.458 0.787 2.731
O 1.851 6.515 -2.731
O 1.851 -0.787 2.731
O 1.851 0.787 8.674
O -1.851 6.515 8.674
O 1.755 0.787 14.137
O 5.550 2.861 -4.024
O 1.943 4.442 4.024
O 5.270 2.861 4.024
O 1.664 4.442 -4.024
O -1.943 4.442 15.430
O 1.664 2.861 7.381
O -1.664 4.442 7.381
O 1.943 2.861 15.430
CELL_PARAMETERS angstrom
-3.607 7.303 11.405
3.607 -7.303 11.405
3.607 7.303 -11.405

---

No. 3
! KSrB5O9 PBE relaxed; values from VASP
! DFT formation energy   -2959 meV per atom
&SYSTEM
  ibrav = 0, nat = 64, ntyp = 4
/
ATOMIC_SPECIES
K 39.10 K.upf
Sr 87.62 Sr.upf
B 10.81 B.upf
O 16.00 O.upf
ATOMIC_POSITIONS angstrom
K 5.289 3.458 1.428
K 1.252 3.671 5.761
K 6.821 3.842 8.617
K 2.784 4.056 12.950
Sr 3.904 6.422 3.742
Sr 7.941 0.707 3.447
Sr 4.169 1.091 10.636
Sr 0.132 6.807 10.931
B 5.780 0.458 0.885
B 0.053 4.302 2.787
B 6.328 3.864 4.705
B 2.293 7.055 13.493
B 6.287 1.987 12.893
B 3.984 4.687 9.975
B 1.595 1.563 8.127
B 4.089 2.827 4.402
B 2.442 1.179 0.938
B 5.823 1.603 5.704
B 1.787 5.526 1.485
B 1.745 3.650 9.672
B 1.743 6.671 6.304
B 2.292 3.265 2.484
B 5.632 6.335 13.440
B 6.478 5.950 6.251
B 2.250 5.910 8.674
B 6.330 0.842 8.073
B 5.782 4.248 11.894
B 8.021 3.211 11.591
O 3.220 3.533 10.024
O 2.393 6.789 12.178
O 6.160 6.911 5.309
O 4.425 1.774 5.225
O 2.628 1.602 13.986
O 1.409 1.217 6.797
O 7.685 2.158 12.414
O 6.198 2.171 14.336
O 6.631 4.633 5.940
O 1.644 6.405 4.989
O 6.716 2.476 4.923
O 1.875 5.343 0.042
O 5.681 0.724 2.200
O 5.912 1.786 7.147
O 6.665 6.296 7.581
O 5.478 5.018 13.129
O 1.914 0.602 9.069
O 2.680 4.654 2.265
O 7.256 4.365 11.543
O 6.429 1.108 9.389
O 1.442 2.880 8.438
O 5.445 5.912 0.392
O 2.595 2.496 1.249
O 5.393 2.860 12.112
O 4.853 3.981 4.354
O 7.009 4.493 3.553
O 0.388 5.356 1.964
O 0.817 3.148 2.835
O 1.064 3.020 10.825
O 5.101 4.878 10.742
O 2.973 2.636 3.636
O 5.950 7.295 12.498
O 2.161 5.727 7.231
O 1.357 5.038 9.454
O 2.123 0.218 1.880
O 3.648 5.740 9.153
CELL_PARAMETERS angstrom
8.073 0.000 0.000
0.000 6.745 0.000
0.000 0.769 14.378

---

No. 4
! KSr4B3O9 PBE relaxed; values from VASP
! DFT formation energy   -3126 meV per atom
&SYSTEM
  ibrav = 0, nat = 34, ntyp = 4
/
ATOMIC_SPECIES
K 39.10 K.upf
Sr 87.62 Sr.upf
B 10.81 B.upf
O 16.00 O.upf
ATOMIC_POSITIONS angstrom
K -4.482 6.393 3.397
K -2.647 1.771 0.162
Sr -4.519 2.718 5.924
Sr -3.900 -2.676 1.613
Sr -6.844 6.847 7.153
Sr -6.551 2.033 3.015
Sr -4.675 -1.695 -1.779
Sr -7.000 2.434 -0.549
Sr -7.082 5.496 1.494
Sr -3.006 0.637 3.289
B -7.390 4.232 5.157
B -4.311 5.549 6.555
B -5.975 -0.346 0.981
B -1.565 -1.074 0.647
B -4.907 1.182 -2.132
B -4.216 3.635 2.049
O -5.255 4.812 7.247
O -9.590 5.343 2.061
O -6.077 0.468 -1.949
O -1.775 -1.239 2.021
O -6.041 -1.643 0.415
O -3.967 -1.590 4.157
O -7.743 7.764 2.526
O -7.059 2.894 5.482
O -7.185 0.389 1.020
O -4.810 0.150 1.516
O -6.991 4.809 3.975
O -8.446 3.311 1.456
O -5.111 0.442 4.762
O -4.136 2.955 3.270
O -8.203 4.926 6.087
O -5.382 3.570 1.278
O -3.137 4.376 1.603
O -0.486 -0.333 0.201
CELL_PARAMETERS angstrom
-5.179 -1.605 -4.402
-0.254 -2.123 6.648
-5.302 9.417 2.804